Entry from Materials Project: crystalline Dy2InHg at its relaxed geometry (PBE).

Properties
* formation energy from the elements: -179 kJ/mol of formula units
* total energy: -3.53 eV per atom

```
data_Dy2InHg
_chemical_formula_sum 'Dy8 In4 Hg4'
_cell_length_a 7.502
_cell_length_b 7.502
_cell_length_c 7.502
_cell_angle_alpha 90.00
_cell_angle_beta 90.00
_cell_angle_gamma 90.00
_symmetry_space_group_name_H-M 'F m -3 m'
_symmetry_Int_Tables_number 225
_symmetry_space_group_name_Hall '-F 4 2 3'
loop_
_atom_site_label
_atom_site_fract_x
_atom_site_fract_y
_atom_site_fract_z
Dy1 0.250 0.250 0.250
In1 0.000 0.000 0.000
Hg1 0.000 0.000 0.500
```